Record 1
Below is crystalline TbAgH2C2SO9 at its relaxed geometry, with properties calculated at the PBE level.

Lattice parameters (Å, degrees): 7.738 7.738 9.089 113.90 113.90 53.41
Fractional positions:
Tb 0.243 0.243 0.268
Tb 0.757 0.757 0.732
Ag 0.086 0.086 0.668
Ag 0.914 0.914 0.332
H 0.301 0.301 0.988
H 0.415 0.415 0.147
H 0.585 0.585 0.853
H 0.699 0.699 0.012
C 0.017 0.017 0.930
C 0.390 0.610 0.500
C 0.610 0.390 0.500
C 0.983 0.983 0.070
S 0.334 0.334 0.716
S 0.666 0.666 0.284
O 0.056 0.056 0.218
O 0.118 0.118 0.972
O 0.135 0.480 0.791
O 0.217 0.602 0.418
O 0.261 0.261 0.535
O 0.336 0.336 0.109
O 0.398 0.783 0.582
O 0.448 0.448 0.753
O 0.480 0.135 0.791
O 0.520 0.865 0.209
O 0.552 0.552 0.247
O 0.602 0.217 0.418
O 0.664 0.664 0.891
O 0.739 0.739 0.465
O 0.783 0.398 0.582
O 0.865 0.520 0.209
O 0.882 0.882 0.028
O 0.944 0.944 0.782

Magnetic moment (μB per formula unit): 0.00
Mass density (g/cm3): 4.00
ΔH_f (0 K) (eV/atom): -1.9249
Electronic total energy (eV/f.u.): -105.993


Record 2
Below is crystalline Ag2C4I3N at its relaxed geometry, with properties calculated at the PBE level.

Lattice parameters (Å, degrees): 17.119 7.459 9.248 90.00 90.00 90.00
Fractional positions:
Ag 0.082 0.045 0.031
Ag 0.082 0.455 0.031
Ag 0.418 0.545 0.531
Ag 0.418 0.955 0.531
Ag 0.582 0.045 0.469
Ag 0.582 0.455 0.469
Ag 0.918 0.545 0.969
Ag 0.918 0.955 0.969
C 0.043 0.250 0.599
C 0.102 0.122 0.609
C 0.102 0.378 0.609
C 0.224 0.250 0.468
C 0.276 0.750 0.968
C 0.398 0.622 0.109
C 0.398 0.878 0.109
C 0.457 0.750 0.099
C 0.543 0.250 0.901
C 0.602 0.122 0.891
C 0.602 0.378 0.891
C 0.724 0.250 0.032
C 0.776 0.750 0.532
C 0.898 0.622 0.391
C 0.898 0.878 0.391
C 0.957 0.750 0.401
I 0.053 0.750 0.850
I 0.074 0.750 0.360
I 0.215 0.250 0.042
I 0.285 0.750 0.542
I 0.426 0.250 0.860
I 0.447 0.250 0.350
I 0.553 0.750 0.650
I 0.574 0.750 0.140
I 0.715 0.250 0.458
I 0.785 0.750 0.958
I 0.926 0.250 0.640
I 0.947 0.250 0.150
N 0.167 0.250 0.548
N 0.333 0.750 0.048
N 0.667 0.250 0.952
N 0.833 0.750 0.452

Magnetic moment (μB per formula unit): 0.00
Mass density (g/cm3): 3.70
ΔH_f (0 K) (eV/atom): 0.9838
Electronic total energy (eV/f.u.): -45.289


What is the ΔH_f (0 K) in the first record? -1.9249 eV/atom


Which formula does entry 1 have? TbAgH2C2SO9


Which of these has the lowest ΔH_f (0 K)? TbAgH2C2SO9